Density functional theory data (PBE) for UAlPt after structural relaxation.

The calculation puts the formation enthalpy at 0 K at -0.687 eV per atom. As for the space-group type: No. 189. The theoretical density is 13044 kg/m³.

Unit cell a=6.9725 b=6.9725 c=4.1733 alpha=90.00 beta=90.00 gamma=120.00
Positions (direct):
U1 0.0000 0.5747 0.0000
U2 0.4253 0.4253 0.0000
U3 0.5747 0.0000 0.0000
Al1 0.0000 0.2374 0.5000
Al2 0.2374 0.0000 0.5000
Al3 0.7626 0.7626 0.5000
Pt1 0.0000 0.0000 0.0000
Pt2 0.3333 0.6667 0.5000
Pt3 0.6667 0.3333 0.5000

=====

Density functional theory data (PBE) for ZrAlPt2 after structural relaxation.

The calculation puts the formation enthalpy at 0 K at -0.385 eV per atom. The value obtained for the total magnetic moment is 0.00 Bohr magnetons per cell. As for the space-group type: No. 194. The theoretical density is 11446 kg/m³.

Unit cell a=4.5413 b=4.5413 c=8.2591 alpha=90.00 beta=90.00 gamma=120.00
Positions (direct):
Zr1 0.3333 0.6667 0.2500
Zr2 0.6667 0.3333 0.7500
Al1 0.0000 0.0000 0.2500
Al2 0.0000 0.0000 0.7500
Pt1 0.3333 0.6667 0.5835
Pt2 0.3333 0.6667 0.9165
Pt3 0.6667 0.3333 0.0835
Pt4 0.6667 0.3333 0.4165

=====

Density functional theory data (PBE) for PuAl4 after structural relaxation.

The calculation puts the formation enthalpy at 0 K at -0.236 eV per atom. As for the space-group type: No. 74. The theoretical density is 6472 kg/m³.

Unit cell a=7.8230 b=7.8230 c=7.8230 alpha=147.44 beta=135.09 gamma=56.56
Positions (direct):
Pu1 0.3582 0.1082 0.2500
Pu2 0.6418 0.8918 0.7500
Al1 0.0000 0.5000 0.5000
Al2 0.1402 0.8902 0.2500
Al3 0.1948 0.6994 0.4954
Al4 0.2961 0.3006 0.9954
Al5 0.5000 0.5000 0.0000
Al6 0.7039 0.6994 0.0046
Al7 0.8052 0.3006 0.5046
Al8 0.8598 0.1098 0.7500

=====

Density functional theory data (PBE) for Pu3Al after structural relaxation.

The calculation puts the formation enthalpy at 0 K at 0.271 eV per atom. The value obtained for the total magnetic moment is 10.45 Bohr magnetons per cell. As for the space-group type: No. 123. The theoretical density is 14876 kg/m³.

Unit cell a=4.4459 b=4.4459 c=4.2862 alpha=90.00 beta=90.00 gamma=90.00
Positions (direct):
Pu1 0.0000 0.0000 0.0000
Pu2 0.0000 0.5000 0.5000
Pu3 0.5000 0.0000 0.5000
Al1 0.5000 0.5000 0.0000

=====

Density functional theory data (PBE) for PuAl2 after structural relaxation.

The calculation puts the formation enthalpy at 0 K at -0.313 eV per atom. As for the space-group type: No. 227. The theoretical density is 9237 kg/m³.

Unit cell a=5.3309 b=5.3309 c=5.3309 alpha=60.00 beta=60.00 gamma=60.00
Positions (direct):
Pu1 0.1250 0.1250 0.1250
Pu2 0.8750 0.8750 0.8750
Al1 0.0000 0.5000 0.5000
Al2 0.5000 0.0000 0.5000
Al3 0.5000 0.5000 0.0000
Al4 0.5000 0.5000 0.5000

=====

Density functional theory data (PBE) for Pu3Al after structural relaxation.

The calculation puts the formation enthalpy at 0 K at 0.301 eV per atom. The value obtained for the total magnetic moment is 5.42 Bohr magnetons per cell. As for the space-group type: No. 166. The theoretical density is 17788 kg/m³.

Unit cell a=11.6278 b=11.6278 c=11.6278 alpha=13.16 beta=13.16 gamma=13.16
Positions (direct):
Pu1 0.0000 0.0000 0.0000
Pu2 0.2442 0.2442 0.2442
Pu3 0.7558 0.7558 0.7558
Al1 0.5000 0.5000 0.5000

=====

Density functional theory data (PBE) for Rb3Al after structural relaxation.

The calculation puts the formation enthalpy at 0 K at 0.360 eV per atom. The value obtained for the total magnetic moment is 1.89 Bohr magnetons per cell. As for the space-group type: No. 139. The theoretical density is 2137 kg/m³. Its energy above the most stable polymorph in this dataset is 2 kJ/mol of formula units.

Unit cell a=7.1770 b=7.1770 c=7.1770 alpha=128.51 beta=128.51 gamma=75.81
Positions (direct):
Rb1 0.0000 0.0000 0.0000
Rb2 0.2500 0.7500 0.5000
Rb3 0.7500 0.2500 0.5000
Al1 0.5000 0.5000 0.0000

=====

Density functional theory data (PBE) for Rb3Al after structural relaxation.

The calculation puts the formation enthalpy at 0 K at 0.353 eV per atom. The value obtained for the total magnetic moment is 2.00 Bohr magnetons per cell. As for the space-group type: No. 225. The theoretical density is 2161 kg/m³. Its energy above the most stable polymorph in this dataset is 0 kJ/mol of formula units.

Unit cell a=6.7531 b=6.7531 c=6.7531 alpha=60.00 beta=60.00 gamma=60.00
Positions (direct):
Rb1 0.0000 0.0000 0.0000
Rb2 0.2500 0.2500 0.2500
Rb3 0.7500 0.7500 0.7500
Al1 0.5000 0.5000 0.5000

=====

Density functional theory data (PBE) for Rb6AlSb3 after structural relaxation.

The calculation puts the formation enthalpy at 0 K at -0.448 eV per atom. As for the space-group type: No. 11. The theoretical density is 3531 kg/m³.

Unit cell a=10.9125 b=6.3323 c=12.5416 alpha=90.00 beta=100.84 gamma=90.00
Positions (direct):
Rb1 0.0421 0.2500 0.0781
Rb2 0.0616 0.2500 0.4604
Rb3 0.2397 0.7500 0.7757
Rb4 0.3647 0.2500 0.9772
Rb5 0.3766 0.2500 0.3219
Rb6 0.4157 0.2500 0.6309
Rb7 0.5843 0.7500 0.3691
Rb8 0.6234 0.7500 0.6781
Rb9 0.6353 0.7500 0.0228
Rb10 0.7603 0.2500 0.2243
Rb11 0.9384 0.7500 0.5396
Rb12 0.9579 0.7500 0.9219
Al1 0.1790 0.7500 0.2795
Al2 0.8210 0.2500 0.7205
Sb1 0.0669 0.2500 0.7738
Sb2 0.2865 0.7500 0.4883
Sb3 0.3213 0.7500 0.1244
Sb4 0.6787 0.2500 0.8756
Sb5 0.7135 0.2500 0.5117
Sb6 0.9331 0.7500 0.2262

=====

Density functional theory data (PBE) for AlRe after structural relaxation.

The calculation puts the formation enthalpy at 0 K at -0.316 eV per atom. As for the space-group type: No. 129. The theoretical density is 12276 kg/m³.

Unit cell a=3.1015 b=3.1015 c=5.9955 alpha=90.00 beta=90.00 gamma=90.00
Positions (direct):
Al1 0.2500 0.2500 0.1280
Al2 0.7500 0.7500 0.8720
Re1 0.2500 0.2500 0.6348
Re2 0.7500 0.7500 0.3652

=====

Density functional theory data (PBE) for Al6Re after structural relaxation.

The calculation puts the formation enthalpy at 0 K at -0.206 eV per atom. As for the space-group type: No. 63. The theoretical density is 5051 kg/m³.

Unit cell a=5.0588 b=5.0588 c=9.0337 alpha=90.00 beta=90.00 gamma=81.88
Positions (direct):
Al1 0.0311 0.6099 0.2500
Al2 0.1290 0.8710 0.6012
Al3 0.1290 0.8710 0.8988
Al4 0.3252 0.3252 0.0000
Al5 0.3252 0.3252 0.5000
Al6 0.3901 0.9689 0.2500
Al7 0.6099 0.0311 0.7500
Al8 0.6748 0.6748 0.0000
Al9 0.6748 0.6748 0.5000
Al10 0.8710 0.1290 0.1012
Al11 0.8710 0.1290 0.3988
Al12 0.9689 0.3901 0.7500
Re1 0.4538 0.5462 0.7500
Re2 0.5462 0.4538 0.2500

=====

Density functional theory data (PBE) for AlRe2 after structural relaxation.

The calculation puts the formation enthalpy at 0 K at -0.263 eV per atom. As for the space-group type: No. 139. The theoretical density is 15207 kg/m³.

Unit cell a=5.2769 b=5.2769 c=5.2769 alpha=146.92 beta=146.92 gamma=47.49
Positions (direct):
Al1 0.0000 0.0000 0.0000
Re1 0.3311 0.3311 0.0000
Re2 0.6689 0.6689 0.0000

=====

Density functional theory data (PBE) for AlRe after structural relaxation.

The calculation puts the formation enthalpy at 0 K at -0.010 eV per atom. The value obtained for the total magnetic moment is 0.01 Bohr magnetons per cell. As for the space-group type: No. 221. The theoretical density is 12322 kg/m³.

Unit cell a=3.0627 b=3.0627 c=3.0627 alpha=90.00 beta=90.00 gamma=90.00
Positions (direct):
Al1 0.0000 0.0000 0.0000
Re1 0.5000 0.5000 0.5000

=====

Density functional theory data (PBE) for Al17Re4Si2 after structural relaxation.

The calculation puts the formation enthalpy at 0 K at -0.221 eV per atom. The value obtained for the total magnetic moment is 0.03 Bohr magnetons per cell. As for the space-group type: No. 200. The theoretical density is 5810 kg/m³.

Unit cell a=12.9272 b=12.9272 c=12.9272 alpha=90.00 beta=90.00 gamma=90.00
Positions (direct):
Al1 0.0000 0.0000 0.3642
Al2 0.0000 0.0000 0.6358
Al3 0.0000 0.1656 0.1006
Al4 0.0000 0.1656 0.8994
Al5 0.0000 0.3642 0.0000
Al6 0.0000 0.5000 0.3134
Al7 0.0000 0.5000 0.6866
Al8 0.0000 0.6358 0.0000
Al9 0.0000 0.8344 0.1006
Al10 0.0000 0.8344 0.8994
Al11 0.1006 0.0000 0.1656
Al12 0.1006 0.0000 0.8344
Al13 0.1037 0.5000 0.1289
Al14 0.1037 0.5000 0.8711
Al15 0.1112 0.5000 0.5000
Al16 0.1203 0.1869 0.3040
Al17 0.1203 0.1869 0.6960
Al18 0.1203 0.8131 0.3040
Al19 0.1203 0.8131 0.6960
Al20 0.1289 0.1037 0.5000
Al21 0.1289 0.8963 0.5000
Al22 0.1656 0.1006 0.0000
Al23 0.1656 0.8994 0.0000
Al24 0.1869 0.3040 0.1203
Al25 0.1869 0.3040 0.8797
Al26 0.1869 0.6960 0.1203
Al27 0.1869 0.6960 0.8797
Al28 0.1932 0.3915 0.3149
Al29 0.1932 0.3915 0.6851
Al30 0.1932 0.6085 0.3149
Al31 0.1932 0.6085 0.6851
Al32 0.3040 0.1203 0.1869
Al33 0.3040 0.1203 0.8131
Al34 0.3040 0.8797 0.1869
Al35 0.3040 0.8797 0.8131
Al36 0.3134 0.0000 0.5000
Al37 0.3149 0.1932 0.3915
Al38 0.3149 0.1932 0.6085
Al39 0.3149 0.8068 0.3915
Al40 0.3149 0.8068 0.6085
Al41 0.3321 0.3993 0.5000
Al42 0.3321 0.6007 0.5000
Al43 0.3642 0.0000 0.0000
Al44 0.3915 0.3149 0.1932
Al45 0.3915 0.3149 0.8068
Al46 0.3915 0.6851 0.1932
Al47 0.3915 0.6851 0.8068
Al48 0.3993 0.5000 0.3321
Al49 0.3993 0.5000 0.6679
Al50 0.5000 0.1112 0.5000
Al51 0.5000 0.1289 0.1037
Al52 0.5000 0.1289 0.8963
Al53 0.5000 0.3134 0.0000
Al54 0.5000 0.3321 0.3993
Al55 0.5000 0.3321 0.6007
Al56 0.5000 0.5000 0.1112
Al57 0.5000 0.5000 0.8888
Al58 0.5000 0.6679 0.3993
Al59 0.5000 0.6679 0.6007
Al60 0.5000 0.6866 0.0000
Al61 0.5000 0.8711 0.1037
Al62 0.5000 0.8711 0.8963
Al63 0.5000 0.8888 0.5000
Al64 0.6007 0.5000 0.3321
Al65 0.6007 0.5000 0.6679
Al66 0.6085 0.3149 0.1932
Al67 0.6085 0.3149 0.8068
Al68 0.6085 0.6851 0.1932
Al69 0.6085 0.6851 0.8068
Al70 0.6358 0.0000 0.0000
Al71 0.6679 0.3993 0.5000
Al72 0.6679 0.6007 0.5000
Al73 0.6851 0.1932 0.3915
Al74 0.6851 0.1932 0.6085
Al75 0.6851 0.8068 0.3915
Al76 0.6851 0.8068 0.6085
Al77 0.6866 0.0000 0.5000
Al78 0.6960 0.1203 0.1869
Al79 0.6960 0.1203 0.8131
Al80 0.6960 0.8797 0.1869
Al81 0.6960 0.8797 0.8131
Al82 0.8068 0.3915 0.3149
Al83 0.8068 0.3915 0.6851
Al84 0.8068 0.6085 0.3149
Al85 0.8068 0.6085 0.6851
Al86 0.8131 0.3040 0.1203
Al87 0.8131 0.3040 0.8797
Al88 0.8131 0.6960 0.1203
Al89 0.8131 0.6960 0.8797
Al90 0.8344 0.1006 0.0000
Al91 0.8344 0.8994 0.0000
Al92 0.8711 0.1037 0.5000
Al93 0.8711 0.8963 0.5000
Al94 0.8797 0.1869 0.3040
Al95 0.8797 0.1869 0.6960
Al96 0.8797 0.8131 0.3040
Al97 0.8797 0.8131 0.6960
Al98 0.8888 0.5000 0.5000
Al99 0.8963 0.5000 0.1289
Al100 0.8963 0.5000 0.8711
Al101 0.8994 0.0000 0.1656
Al102 0.8994 0.0000 0.8344
Re1 0.0000 0.3274 0.2089
Re2 0.0000 0.3274 0.7911
Re3 0.0000 0.6726 0.2089
Re4 0.0000 0.6726 0.7911
Re5 0.1656 0.2989 0.5000
Re6 0.1656 0.7011 0.5000
Re7 0.2089 0.0000 0.3274
Re8 0.2089 0.0000 0.6726
Re9 0.2989 0.5000 0.1656
Re10 0.2989 0.5000 0.8344
Re11 0.3274 0.2089 0.0000
Re12 0.3274 0.7911 0.0000
Re13 0.5000 0.1656 0.2989
Re14 0.5000 0.1656 0.7011
Re15 0.5000 0.8344 0.2989
Re16 0.5000 0.8344 0.7011
Re17 0.6726 0.2089 0.0000
Re18 0.6726 0.7911 0.0000
Re19 0.7011 0.5000 0.1656
Re20 0.7011 0.5000 0.8344
Re21 0.7911 0.0000 0.3274
Re22 0.7911 0.0000 0.6726
Re23 0.8344 0.2989 0.5000
Re24 0.8344 0.7011 0.5000
Si1 0.0000 0.3208 0.4033
Si2 0.0000 0.3208 0.5967
Si3 0.0000 0.6792 0.4033
Si4 0.0000 0.6792 0.5967
Si5 0.3208 0.4033 0.0000
Si6 0.3208 0.5967 0.0000
Si7 0.4033 0.0000 0.3208
Si8 0.4033 0.0000 0.6792
Si9 0.5967 0.0000 0.3208
Si10 0.5967 0.0000 0.6792
Si11 0.6792 0.4033 0.0000
Si12 0.6792 0.5967 0.0000

=====

Density functional theory data (PBE) for TbAl10Re2 after structural relaxation.

The calculation puts the formation enthalpy at 0 K at -0.356 eV per atom. As for the space-group type: No. 63. The theoretical density is 6106 kg/m³.

Unit cell a=6.9700 b=6.9700 c=18.0439 alpha=90.00 beta=90.00 gamma=96.19
Positions (direct):
Tb1 0.0000 0.0000 0.0000
Tb2 0.0000 0.0000 0.5000
Tb3 0.2574 0.7426 0.7500
Tb4 0.7426 0.2574 0.2500
Al1 0.0000 0.5000 0.0000
Al2 0.0000 0.5000 0.5000
Al3 0.0328 0.9672 0.1743
Al4 0.0328 0.9672 0.3257
Al5 0.0888 0.6140 0.2500
Al6 0.0922 0.3485 0.1313
Al7 0.0922 0.3485 0.3687
Al8 0.2481 0.7519 0.0927
Al9 0.2481 0.7519 0.4073
Al10 0.2721 0.2979 0.7500
Al11 0.2816 0.7184 0.5746
Al12 0.2816 0.7184 0.9254
Al13 0.2979 0.2721 0.2500
Al14 0.3485 0.0922 0.6313
Al15 0.3485 0.0922 0.8687
Al16 0.3511 0.3511 0.0000
Al17 0.3511 0.3511 0.5000
Al18 0.3860 0.9112 0.2500
Al19 0.4944 0.5056 0.1428
Al20 0.4944 0.5056 0.3572
Al21 0.5000 0.0000 0.0000
Al22 0.5000 0.0000 0.5000
Al23 0.5056 0.4944 0.6428
Al24 0.5056 0.4944 0.8572
Al25 0.6140 0.0888 0.7500
Al26 0.6489 0.6489 0.0000
Al27 0.6489 0.6489 0.5000
Al28 0.6515 0.9078 0.1313
Al29 0.6515 0.9078 0.3687
Al30 0.7021 0.7279 0.7500
Al31 0.7184 0.2816 0.0746
Al32 0.7184 0.2816 0.4254
Al33 0.7279 0.7021 0.2500
Al34 0.7519 0.2481 0.5927
Al35 0.7519 0.2481 0.9073
Al36 0.9078 0.6515 0.6313
Al37 0.9078 0.6515 0.8687
Al38 0.9112 0.3860 0.7500
Al39 0.9672 0.0328 0.6743
Al40 0.9672 0.0328 0.8257
Re1 0.1302 0.3737 0.6208
Re2 0.1302 0.3737 0.8792
Re3 0.3737 0.1302 0.1208
Re4 0.3737 0.1302 0.3792
Re5 0.6263 0.8698 0.6208
Re6 0.6263 0.8698 0.8792
Re7 0.8698 0.6263 0.1208
Re8 0.8698 0.6263 0.3792